DFT (PBE) results for a relaxed Mg2Si3 crystal.

```
20
Lattice="-2.215 -2.332 2.265 4.391 1.074 3.730 -8.143 14.412 3.903" Properties=species:S:1:pos:R:3 pbc="T T T"
Mg -1.612 7.803 5.610
Mg -4.354 5.350 4.289
Mg -1.077 5.085 3.331
Mg -6.776 12.510 8.597
Mg -1.419 2.679 1.079
Mg -4.548 10.475 8.819
Mg -4.890 8.069 6.568
Mg 0.809 0.644 1.302
Si -4.053 8.048 3.976
Si 0.414 2.792 3.238
Si -6.380 10.362 6.660
Si 1.239 6.004 5.359
Si -6.239 12.570 5.668
Si -8.500 12.227 4.833
Si 2.533 0.926 5.066
Si -6.209 9.322 4.433
Si 0.272 0.584 4.231
Si -7.206 7.150 4.539
Si 0.242 3.832 5.466
Si -1.914 5.105 5.923
```

## Properties
Space-group type: P-1, No. 2
Energy relative to the lowest polymorph listed for this composition, meV per atom: 93
Raw total energy, eV per cell: -75.31



DFT (PBE) results for a relaxed Mg2Si3 crystal.

```
20
Lattice="3.784 0.000 0.000 -0.815 5.832 0.000 -0.884 -1.280 17.299" Properties=species:S:1:pos:R:3 pbc="T T T"
Si -1.032 4.727 11.270
Si 1.602 0.394 11.091
Si 2.808 -0.264 9.116
Si -0.378 3.533 14.362
Si 2.315 0.844 16.545
Si 0.101 3.762 0.995
Si 0.398 1.337 15.091
Si 0.946 3.855 7.708
Si 2.021 3.356 2.465
Si 2.831 0.563 5.535
Si -0.947 4.173 6.197
Si 2.897 1.159 3.136
Mg 2.272 -0.278 13.750
Mg 1.419 3.731 16.365
Mg 0.177 5.113 3.760
Mg -0.946 2.613 9.529
Mg 1.123 0.857 1.065
Mg 0.952 2.460 4.891
Mg 0.879 0.939 7.551
Mg 1.405 2.646 12.570
```

## Properties
Space-group type: P1, No. 1
Energy relative to the lowest polymorph listed for this composition, meV per atom: 78
Raw total energy, eV per cell: -75.61



DFT (PBE) results for a relaxed Mg3Si4 crystal.

```
14
Lattice="1.437 10.111 0.000 -1.437 10.111 0.000 0.000 0.019 8.643" Properties=species:S:1:pos:R:3 pbc="T T T"
Mg 0.000 16.429 1.366
Mg 0.000 1.227 1.407
Mg 0.000 3.973 3.560
Mg 0.000 19.119 5.752
Mg 0.000 3.958 7.832
Mg 0.000 15.886 5.689
Si 0.000 11.056 7.302
Si 0.000 6.928 3.684
Si 0.000 9.090 2.665
Si 0.000 13.645 1.376
Si 0.000 11.046 4.193
Si 0.000 6.937 7.686
Si 0.000 13.025 5.708
Si 0.000 9.053 0.146
```

## Properties
Space-group type: Cm, No. 8
Energy relative to the lowest polymorph listed for this composition, meV per atom: 176
Raw total energy, eV per cell: -49.80



DFT (PBE) results for a relaxed Mg4Si3 crystal.

```
14
Lattice="-5.227 4.768 -2.726 -2.781 -2.080 -5.649 -4.717 -1.010 4.243" Properties=species:S:1:pos:R:3 pbc="T T T"
Mg -5.284 3.691 -2.893
Mg -8.855 0.319 -0.712
Mg -5.730 1.142 -1.087
Mg -10.227 2.685 -3.077
Mg -7.760 3.275 -5.243
Mg -7.519 3.599 -0.256
Mg -7.585 0.349 -3.995
Mg -2.710 0.639 -0.107
Si -7.621 2.561 -2.596
Si -7.532 1.522 1.410
Si -5.042 -0.633 -2.953
Si -5.825 -0.180 1.543
Si -7.225 -1.578 -2.133
Si -6.481 1.107 -6.344
```

## Properties
Space-group type: P1, No. 1
Energy relative to the lowest polymorph listed for this composition, meV per atom: 31
Raw total energy, eV per cell: -45.30



DFT (PBE) results for a relaxed Mg4Si3 crystal.

```
14
Lattice="-3.215 -2.307 3.452 0.504 -5.102 -4.903 6.916 -0.863 3.231" Properties=species:S:1:pos:R:3 pbc="T T T"
Si 1.351 -6.675 0.908
Si 0.919 -6.548 -1.443
Si 3.849 -6.426 1.071
Si -2.138 -4.771 1.310
Si 3.972 -4.264 2.555
Si 1.201 -2.124 0.252
Mg 0.821 -4.058 2.429
Mg 5.840 -1.732 1.821
Mg 3.008 -1.761 2.832
Mg 2.646 -4.419 -0.394
Mg -0.312 -4.283 -0.549
Mg 5.620 -4.397 -0.006
Mg -1.478 -1.958 1.530
Mg 1.601 -4.760 -3.560
```

## Properties
Space-group type: P1, No. 1
Energy relative to the lowest polymorph listed for this composition, meV per atom: 75
Raw total energy, eV per cell: -44.67



DFT (PBE) results for a relaxed Mg4Si3 crystal.

```
14
Lattice="-5.416 -3.765 1.585 -1.809 -2.678 -6.011 1.173 -7.296 -0.734" Properties=species:S:1:pos:R:3 pbc="T T T"
Mg -4.960 -4.603 -3.804
Mg -1.765 -3.331 -2.540
Mg -1.445 -7.184 -4.787
Mg -2.294 -5.484 -0.219
Mg -3.522 -10.771 -1.636
Mg -2.264 -8.059 -1.791
Mg -5.145 -8.238 -3.147
Mg -1.412 -10.105 -6.321
Si -4.603 -6.097 -1.572
Si -0.680 -5.926 -2.487
Si -5.035 -6.311 0.786
Si -2.867 -9.374 -4.114
Si -1.855 -2.818 0.100
Si -4.222 -8.630 0.129
```

## Properties
Space-group type: P1, No. 1
Energy relative to the lowest polymorph listed for this composition, meV per atom: 39
Raw total energy, eV per cell: -45.18



DFT (PBE) results for a relaxed Mg2Si3 crystal.

```
20
Lattice="-3.843 1.859 -1.873 -2.798 -3.147 3.713 3.707 11.491 8.709" Properties=species:S:1:pos:R:3 pbc="T T T"
Mg -3.400 0.583 4.435
Mg -2.955 5.720 4.877
Mg 0.166 6.917 7.720
Mg -0.400 9.147 9.941
Mg -1.010 10.230 6.962
Mg -0.191 4.401 3.954
Mg -2.529 2.895 2.841
Mg -0.158 -0.138 0.183
Si -3.408 3.678 0.368
Si 1.819 6.574 5.283
Si -1.076 2.049 5.458
Si -1.580 0.403 2.383
Si 1.489 8.815 6.270
Si -1.914 3.944 6.676
Si -4.906 0.378 1.879
Si -2.842 8.587 8.432
Si -0.677 7.166 5.123
Si -2.885 -0.082 0.324
Si -2.489 6.164 7.796
Si -4.109 3.105 5.866
```

## Properties
Space-group type: P1, No. 1
Energy relative to the lowest polymorph listed for this composition, meV per atom: 190
Raw total energy, eV per cell: -73.37



DFT (PBE) results for a relaxed Mg4Si3 crystal.

```
14
Lattice="-0.925 -1.026 -7.934 -3.673 -5.874 -1.477 -5.284 1.497 3.113" Properties=species:S:1:pos:R:3 pbc="T T T"
Si -1.759 -0.730 -6.204
Si -5.837 -4.175 -1.177
Si -4.269 -3.580 -4.337
Si -8.368 -5.288 -4.989
Si -5.840 -0.730 0.672
Si -2.741 -2.965 -6.117
Mg -5.093 -3.938 -7.193
Mg -1.966 -0.711 -0.711
Mg -5.400 -1.706 -2.101
Mg -2.649 -1.266 -3.721
Mg -6.859 -3.097 -4.746
Mg -7.676 -2.770 0.564
Mg -4.689 -0.944 -5.834
Mg -8.442 -4.470 -2.212
```

## Properties
Space-group type: P1, No. 1
Energy relative to the lowest polymorph listed for this composition, meV per atom: 46
Raw total energy, eV per cell: -45.08